1.
A plane-wave DFT calculation with meta-GGA r2SCAN was carried out for a geometry-optimized Na2LiCl3 structure.

```
Na2LiCl3
1.0
-5.685 -14.863 3.669
8.701 -6.376 -12.345
12.668 -2.343 10.139
Cl Na Li
108 72 36
Cartesian
2.950 -11.703 -6.391
12.784 -4.783 0.595
16.869 -9.722 -1.232
10.240 -10.376 -1.938
14.958 -14.718 0.001
9.883 -2.657 4.710
7.173 -12.484 -3.011
11.068 -5.471 6.998
9.609 -14.139 6.818
5.947 -16.745 1.954
5.386 -13.358 3.438
-0.445 -6.017 -0.835
6.512 -13.156 -6.758
8.423 -8.160 -7.992
3.474 -15.189 -7.850
7.834 -11.812 0.736
8.561 -4.002 -2.785
9.579 -11.048 -5.685
10.735 -13.937 -3.379
-0.515 -13.167 6.437
6.709 -12.013 10.933
6.017 -9.595 -5.317
3.047 -14.620 6.069
4.273 -10.359 1.104
6.508 -20.133 0.470
10.901 -9.704 1.810
9.745 -6.816 -0.497
6.845 -4.690 3.618
1.438 -1.095 -2.049
7.831 -18.788 7.965
-1.737 -10.452 4.173
8.495 -11.140 4.484
2.386 -15.292 2.322
4.625 -18.089 -5.541
7.340 -8.251 2.177
8.287 -15.483 -0.677
13.968 -7.596 2.883
13.802 -11.829 -2.306
2.456 -8.142 -4.950
-2.327 -10.939 0.380
6.184 -5.362 -0.129
1.063 -16.636 -5.173
2.622 -3.909 0.239
6.608 -16.073 5.702
4.861 -6.707 -7.624
5.660 -1.876 1.330
2.285 -19.352 -2.909
8.848 -18.870 -2.161
9.084 -7.488 -4.244
0.050 -9.578 -2.276
11.461 -6.127 -6.900
10.731 -20.914 3.850
-1.176 -13.839 2.690
5.356 -10.267 -9.065
10.407 -6.143 3.250
3.708 -13.948 9.817
11.919 -16.751 -1.091
-0.939 -2.456 0.606
4.439 -6.126 6.292
5.523 -6.035 -3.877
-0.615 -17.226 1.206
5.595 -9.014 8.599
9.157 -10.468 8.231
-3.515 -15.101 5.321
1.372 -8.233 5.219
6.118 -12.500 7.140
13.070 -19.651 1.219
0.573 -13.064 -3.735
1.961 -4.581 -3.509
12.646 -8.941 -4.612
-4.738 -12.386 3.057
-1.837 -14.511 -1.058
3.778 -6.798 2.545
13.307 -8.269 -0.865
9.509 -18.198 1.586
3.612 -11.031 -2.643
15.684 -6.908 -3.520
2.486 -11.232 7.553
4.934 -9.687 4.852
9.019 -14.626 3.024
1.163 -12.577 0.058
12.057 -12.593 4.116
1.895 -11.719 3.760
6.678 -8.923 -1.570
0.216 -5.345 2.913
5.286 -17.417 -1.793
11.396 -13.265 0.369
-2.851 -7.452 1.840
7.270 -15.401 9.449
3.283 -3.237 3.986
7.506 -4.018 7.366
4.064 -14.702 -4.057
11.562 -9.032 5.557
8.662 -6.907 9.672
0.711 -8.906 1.472
3.117 -7.470 -1.202
14.463 -11.157 1.442
12.510 -16.264 2.702
4.796 -13.845 -0.355
1.724 -15.964 -1.425
7.239 -5.346 -10.280
0.707 -15.882 8.701
7.696 -15.970 -4.470
4.930 -16.663 12.080
3.608 -18.007 4.586
10.170 -17.526 5.334
8.001 -7.579 5.925
4.338 -3.221 -6.165
14.006 -17.205 0.615
4.085 -4.939 -1.827
15.431 -8.626 0.817
-3.802 -9.940 2.454
8.790 -9.314 0.120
10.112 -7.969 7.615
6.986 -7.064 -5.942
3.906 -9.205 -7.007
6.551 -6.516 7.982
11.690 -11.439 -3.995
6.883 -14.299 1.350
-0.901 -12.065 -1.662
2.328 -5.735 4.603
9.451 -8.642 3.867
12.351 -10.767 -0.248
2.772 -16.394 10.421
5.049 -12.127 -4.693
4.567 -8.533 -3.260
5.012 -19.191 2.558
1.667 -6.407 0.855
8.308 -5.720 1.552
2.660 -13.518 -2.029
12.531 -6.501 4.932
10.445 -15.752 0.983
13.495 -13.689 2.067
0.789 -18.410 -0.822
2.111 -17.066 6.673
-0.240 -11.393 2.086
3.321 -12.846 1.718
1.450 -17.738 2.926
4.350 -19.863 -1.189
6.371 -10.782 2.802
1.999 -14.190 -5.777
7.694 -9.438 10.297
9.630 -4.375 9.047
-2.773 -16.957 -0.454
1.005 -7.080 -2.892
3.982 -12.174 5.466
8.129 -9.986 -3.628
5.889 -7.188 4.235
0.421 -10.721 5.833
4.644 -11.502 9.213
8.205 -12.955 8.845
11.208 -7.845 -2.563
5.228 -7.861 0.487
5.407 -3.594 5.668
1.185 -2.813 2.288
6.222 -14.971 -2.397
-1.451 -15.613 7.041
3.689 -20.536 -4.937
11.106 -15.080 4.730
-2.112 -16.285 3.293
3.471 -8.657 6.917
0.128 -19.082 -4.569
5.673 -18.519 6.305
2.149 -10.002 -0.577
10.594 -11.563 6.182
-5.673 -14.832 3.661
9.272 -12.908 -1.313
7.912 -21.317 -1.557
9.234 -19.972 5.938
13.013 -10.095 3.499
7.468 -10.658 -7.375
15.913 -12.220 -0.616
7.544 -13.627 5.098
12.135 -22.097 1.823
5.561 -15.643 -6.144
-0.752 -7.876 3.538
8.573 -20.644 2.190
6.334 -17.847 10.053
-1.895 -4.954 1.223
9.783 -16.424 -2.765
0.274 -14.902 0.632
3.410 -5.648 -5.566
11.855 -7.210 1.194
4.732 -4.303 1.929
6.736 -18.480 -3.851
-1.399 -8.512 -0.219
10.533 -8.554 -6.301
8.625 -13.543 -5.069
7.047 -10.073 6.540
2.514 -17.699 -7.230
9.947 -12.199 2.425
-2.626 -12.776 4.747
10.959 -19.261 -0.471
6.310 -7.773 -9.681
-0.387 -15.574 -3.115
0.509 -3.522 -1.450
5.819 -14.338 11.507
5.158 -15.010 7.759
7.397 -17.808 -0.103
1.597 -13.557 8.127
4.402 -12.762 -8.449
5.724 -11.418 -0.954
3.836 -16.355 0.264
1.501 -10.637 -4.334
-3.287 -13.448 1.000
12.847 -14.324 -1.690
4.497 -15.683 4.012
7.633 -6.429 -2.186
2.824 -9.293 3.161
11.620 -18.589 3.276
0.935 -14.229 4.379
8.059 -17.136 3.644
14.756 -9.335 -2.921
3.175 -17.027 -3.483
8.955 -5.084 5.309
8.720 -16.463 7.391
```

Summary:
ΔE to the lowest computed polymorph = 2 meV per atom
Formation energy = -2.0073 eV per atom
Theoretical density = 2.2 g/cm³
M_tot = 0.0 μB per formula unit



2.
A plane-wave DFT calculation with meta-GGA r2SCAN was carried out for a geometry-optimized Na3MgC2ClO6 structure.

```
Na3MgC2ClO6
1.0
0.000 7.046 7.046
7.046 0.000 7.046
7.046 7.046 0.000
Na C O Mg Cl
12 8 24 4 4
Cartesian
7.046 7.046 3.722
7.046 7.046 10.370
10.569 10.569 13.893
7.046 3.722 7.046
10.569 10.569 7.246
10.569 7.246 10.569
10.370 7.046 7.046
13.893 10.569 10.569
7.246 10.569 10.569
10.569 13.893 10.569
3.722 7.046 7.046
7.046 10.370 7.046
4.833 9.259 9.259
12.782 8.357 8.357
8.357 12.782 8.357
4.833 4.833 4.833
12.782 12.782 12.782
8.357 8.357 12.782
9.259 4.833 9.259
9.259 9.259 4.833
3.793 8.726 8.726
8.890 13.823 8.890
13.823 12.249 12.249
8.726 3.793 8.726
10.300 8.726 5.367
12.249 7.316 8.890
12.249 12.249 13.823
8.726 5.367 10.300
5.367 8.726 10.300
5.367 3.793 5.367
5.367 10.300 8.726
8.890 8.890 13.823
7.316 8.890 12.249
7.316 12.249 8.890
10.300 5.367 8.726
12.249 8.890 7.316
13.823 8.890 8.890
8.890 12.249 7.316
3.793 5.367 5.367
8.890 7.316 12.249
5.367 5.367 3.793
8.726 10.300 5.367
12.249 13.823 12.249
8.726 8.726 3.793
1.762 1.762 1.762
5.285 1.762 5.285
5.285 5.285 1.762
1.762 5.285 5.285
8.808 5.285 5.285
8.808 8.808 8.808
5.285 8.808 5.285
5.285 5.285 8.808
```

Summary:
ΔE to the lowest computed polymorph = 13 meV per atom
Formation energy = -2.0273 eV per atom
Symmetry = Fd-3m, No. 227
Theoretical density = 2.4 g/cm³
M_tot = 0.0 μB per formula unit



3.
A plane-wave DFT calculation with meta-GGA r2SCAN was carried out for a geometry-optimized Ga2S3 structure.

```
Ga2S3
1.0
0.966 -4.772 4.225
0.545 1.367 6.276
-3.673 0.286 -5.290
S Ga
3 2
Cartesian
-2.513 0.232 -1.523
-2.013 -0.896 1.958
-2.025 -3.356 -0.797
-2.382 -2.544 3.548
-3.412 -0.223 -3.612
```

Summary:
Formation energy = -0.7944 eV per atom
Symmetry = Imm2, No. 44
Theoretical density = 3.6 g/cm³
M_tot = 0.0 μB per formula unit



4.
A plane-wave DFT calculation with meta-GGA r2SCAN was carried out for a geometry-optimized Mn3SnH structure.

```
Mn3SnH
1.0
-2.030 -1.666 -3.022
1.325 -3.614 1.102
-3.186 -0.441 2.384
Mn Sn H
3 1 1
Cartesian
-1.593 -0.221 1.192
-1.015 -0.833 -1.511
0.662 -1.807 0.551
-1.946 -2.861 0.232
0.000 0.000 0.000
```

Summary:
Formation energy = -0.1299 eV per atom
Symmetry = Pm-3m, No. 221
Theoretical density = 7.4 g/cm³
M_tot = 10.2 μB per formula unit



5.
A plane-wave DFT calculation with meta-GGA r2SCAN was carried out for a geometry-optimized Nd2H5 structure.

```
Nd2H5
1.0
5.429 0.000 0.000
0.000 5.429 0.000
-2.715 -2.715 5.489
H Nd
10 4
Cartesian
-1.252 -1.358 4.203
1.357 4.177 1.458
2.715 2.715 2.822
-1.252 1.358 4.203
1.252 -1.358 4.203
4.072 1.252 1.458
0.000 2.715 0.077
4.072 4.177 1.458
1.357 1.252 1.458
1.252 1.358 4.203
2.715 0.000 2.871
0.000 0.000 0.047
2.715 2.715 0.126
0.000 2.715 2.791
```

Summary:
Formation energy = -0.6924 eV per atom
Symmetry = I4_1md, No. 109
Theoretical density = 6.0 g/cm³
M_tot = 0.0 μB per formula unit



6.
A plane-wave DFT calculation with meta-GGA r2SCAN was carried out for a geometry-optimized LaFe2P2 structure.

```
LaFe2P2
1.0
3.596 0.000 -1.184
-0.390 3.575 -1.184
0.024 0.027 6.126
Fe P La
2 2 1
Cartesian
0.619 2.695 1.879
2.612 0.907 1.879
2.098 2.340 0.321
1.132 1.262 3.437
0.000 0.000 0.000
```

Summary:
Formation energy = -0.8673 eV per atom
Symmetry = I4/mmm, No. 139
Theoretical density = 6.6 g/cm³
M_tot = 0.0 μB per formula unit



7.
A plane-wave DFT calculation with meta-GGA r2SCAN was carried out for a geometry-optimized Sc3GaC structure.

```
Sc3GaC
1.0
4.474 0.000 0.000
0.000 4.474 0.000
0.000 0.000 4.474
Sc Ga C
3 1 1
Cartesian
2.237 2.237 0.000
0.000 2.237 2.237
2.237 0.000 2.237
0.000 0.000 0.000
2.237 2.237 2.237
```

Summary:
Formation energy = -0.7705 eV per atom
Symmetry = Pm-3m, No. 221
Theoretical density = 4.0 g/cm³
M_tot = 0.0 μB per formula unit



8.
A plane-wave DFT calculation with meta-GGA r2SCAN was carried out for a geometry-optimized KVF3 structure.

```
KVF3
1.0
4.129 0.000 0.000
0.000 4.129 0.000
0.000 0.000 4.129
V K F
1 1 3
Cartesian
2.065 2.065 2.065
0.000 0.000 0.000
0.000 2.065 2.065
2.065 2.065 0.000
2.065 0.000 2.065
```

Summary:
Formation energy = -3.0694 eV per atom
Symmetry = Pm-3m, No. 221
Theoretical density = 3.5 g/cm³
M_tot = 3.0 μB per formula unit



Which value of M_tot does entry 3 give? 0.0 μB per formula unit



Which formula does entry 8 have? KVF3